Material: Hf2IrRh
Method: DFT, GGA-PBE
State: relaxed

a = 4.6308 Å, b = 4.6308 Å, c = 4.6308 Å
α = 60.00°, β = 60.00°, γ = 60.00°
Closest atoms and distances in Å follow each position.
Element x y z (fractional)
Hf 0.2500 0.2500 0.2500  4 Ir 2.84, 4 Rh 2.84
Hf 0.7500 0.7500 0.7500  4 Rh 2.84, 4 Ir 2.84
Ir 0.5000 0.5000 0.5000  8 Hf 2.84
Rh 0.0000 0.0000 0.0000  8 Hf 2.84

Computed properties:
Calculated formation energy in eV per atom: -0.9157
Space group: Fm-3m